The following is a DFT calculation (PBE-GGA) of a relaxed structure of NaB3O5.

symmetry = No. 14

Cell: 11.5823 10.2499 10.9746 Å, 75.30 90.00 90.00°
With the nearest neighbours (Å) after each atom.
Positions (direct):
B (0.5545, 0.2092, 0.7335)  3 O 1.36-1.41
B (0.8974, 0.2728, 0.0037)  4 O 1.47-1.51
B (0.1948, 0.6134, 0.8449)  3 O 1.36-1.39
O (0.8718, 0.6795, 0.6725)  1 B 1.36
B (0.0262, 0.7050, 0.2128)  3 O 1.37-1.40
O (0.1715, 0.1833, 0.6569)  2 B 1.37-1.49
B (0.8052, 0.3866, 0.1551)  3 O 1.36-1.39
B (0.1754, 0.4119, 0.3836)  3 O 1.36-1.40
B (0.9280, 0.8027, 0.5846)  4 O 1.47-1.53
O (0.0950, 0.8146, 0.2226)  2 B 1.40
Na (0.3469, 0.3501, 0.6121)  3 O 2.32-2.51
O (0.8285, 0.8167, 0.3431)  2 B 1.37-1.49
O (0.3383, 0.0975, 0.9738)  2 B 1.37-1.48
O (0.1419, 0.7039, 0.7442)  2 B 1.39-1.41
B (0.6699, 0.1217, 0.3740)  3 O 1.36-1.40
B (0.8301, 0.1217, 0.8740)  3 O 1.36-1.40
B (0.3008, 0.0882, 0.0937)  3 O 1.37-1.40
O (0.6807, 0.1657, 0.4804)  2 B 1.36-1.49
O (0.5398, 0.6427, 0.8142)  2 B 1.37-1.47
O (0.7718, 0.0163, 0.8445)  2 B 1.38-1.40
B (0.6948, 0.3866, 0.6551)  3 O 1.36-1.39
B (0.6026, 0.2728, 0.5037)  4 O 1.47-1.51
O (0.6715, 0.8167, 0.8431)  2 B 1.37-1.49
O (0.9964, 0.8672, 0.6654)  2 B 1.36-1.47
Na (0.8678, 0.4105, 0.4133)  5 O 2.31-2.58
O (0.9050, 0.1854, 0.7774)  2 B 1.40
O (0.1647, 0.4024, 0.5099)  2 B 1.37-1.53
O (0.3581, 0.7039, 0.2442)  2 B 1.39-1.41
O (0.8193, 0.1657, 0.9804)  2 B 1.36-1.49
Na (0.6336, 0.0708, 0.1225)  4 O 2.26-2.52
B (0.4099, 0.2915, 0.0934)  4 O 1.47-1.53
O (0.6647, 0.5976, 0.9901)  2 B 1.37-1.53
O (0.6617, 0.9025, 0.0262)  2 B 1.37-1.48
B (0.3246, 0.4119, 0.8836)  3 O 1.36-1.40
O (0.2718, 0.9837, 0.6555)  2 B 1.38-1.40
O (0.5950, 0.1854, 0.2774)  2 B 1.40
O (0.8581, 0.2961, 0.2558)  2 B 1.39-1.41
O (0.4701, 0.6624, 0.6043)  2 B 1.37-1.47
O (0.5263, 0.2127, 0.6120)  2 B 1.36-1.48
O (0.5299, 0.3376, 0.3957)  2 B 1.37-1.47
O (0.2282, 0.9837, 0.1555)  2 B 1.38-1.40
B (0.3301, 0.8783, 0.6260)  3 O 1.36-1.40
B (0.8008, 0.9118, 0.4063)  3 O 1.37-1.40
Na (0.6322, 0.4105, 0.9133)  5 O 2.31-2.58
O (0.8383, 0.9025, 0.5262)  2 B 1.37-1.48
B (0.6992, 0.9118, 0.9063)  3 O 1.37-1.40
Na (0.3664, 0.9292, 0.8775)  4 O 2.26-2.52
B (0.3974, 0.7272, 0.4963)  4 O 1.47-1.51
O (0.0299, 0.6624, 0.1043)  2 B 1.37-1.47
B (0.8246, 0.5881, 0.6164)  3 O 1.36-1.40
B (0.5720, 0.8027, 0.0846)  4 O 1.47-1.53
O (0.9737, 0.2127, 0.1120)  2 B 1.36-1.48
O (0.9926, 0.7569, 0.4870)  2 B 1.47-1.48
B (0.5901, 0.7085, 0.9066)  4 O 1.47-1.53
B (0.0545, 0.7908, 0.7665)  3 O 1.36-1.41
O (0.8353, 0.5976, 0.4901)  2 B 1.37-1.53
O (0.3285, 0.1833, 0.1569)  2 B 1.37-1.49
Na (0.3678, 0.5895, 0.0867)  5 O 2.31-2.58
O (0.0036, 0.1328, 0.3346)  2 B 1.36-1.47
Na (0.1336, 0.9292, 0.3775)  4 O 2.26-2.52
B (0.9099, 0.7085, 0.4066)  4 O 1.47-1.53
O (0.4602, 0.3573, 0.1858)  2 B 1.37-1.47
O (0.3718, 0.3205, 0.8275)  1 B 1.36
O (0.6282, 0.6795, 0.1725)  1 B 1.36
Na (0.1531, 0.3501, 0.1121)  3 O 2.32-2.51
O (0.7610, 0.4820, 0.6920)  2 B 1.38-1.40
B (0.4738, 0.7050, 0.7128)  3 O 1.37-1.40
O (0.2610, 0.5180, 0.8080)  2 B 1.38-1.40
O (0.2390, 0.5180, 0.3080)  2 B 1.38-1.40
Na (0.1322, 0.5895, 0.5867)  5 O 2.31-2.58
Na (0.8664, 0.0708, 0.6225)  4 O 2.26-2.52
O (0.1617, 0.0975, 0.4738)  2 B 1.37-1.48
O (0.7282, 0.0163, 0.3445)  2 B 1.38-1.40
O (0.3211, 0.6198, 0.4660)  2 B 1.36-1.51
O (0.6419, 0.2961, 0.7558)  2 B 1.39-1.41
O (0.4964, 0.1328, 0.8346)  2 B 1.36-1.47
O (0.8211, 0.3802, 0.0340)  2 B 1.36-1.51
B (0.4455, 0.7908, 0.2665)  3 O 1.36-1.41
Na (0.6531, 0.6499, 0.3879)  3 O 2.32-2.51
O (0.0074, 0.2431, 0.5130)  2 B 1.47-1.48
O (0.5074, 0.7569, 0.9870)  2 B 1.47-1.48
B (0.1026, 0.7272, 0.9963)  4 O 1.47-1.51
O (0.3193, 0.8343, 0.5196)  2 B 1.36-1.49
O (0.9602, 0.6427, 0.3142)  2 B 1.37-1.47
O (0.4926, 0.2431, 0.0130)  2 B 1.47-1.48
B (0.3052, 0.6134, 0.3449)  3 O 1.36-1.39
B (0.1699, 0.8783, 0.1260)  3 O 1.36-1.40
O (0.1282, 0.3205, 0.3275)  1 B 1.36
B (0.0720, 0.1973, 0.4154)  4 O 1.47-1.53
O (0.3353, 0.4024, 0.0099)  2 B 1.37-1.53
O (0.0398, 0.3573, 0.6858)  2 B 1.37-1.47
B (0.9738, 0.2950, 0.7872)  3 O 1.37-1.40
O (0.1789, 0.6198, 0.9660)  2 B 1.36-1.51
O (0.0263, 0.7873, 0.8880)  2 B 1.36-1.48
O (0.4050, 0.8146, 0.7226)  2 B 1.40
O (0.1807, 0.8343, 0.0196)  2 B 1.36-1.49
B (0.4280, 0.1973, 0.9154)  4 O 1.47-1.53
O (0.4737, 0.7873, 0.3880)  2 B 1.36-1.48
B (0.6754, 0.5881, 0.1164)  3 O 1.36-1.40
B (0.0901, 0.2915, 0.5934)  4 O 1.47-1.53
O (0.5036, 0.8672, 0.1654)  2 B 1.36-1.47
Na (0.8469, 0.6499, 0.8879)  3 O 2.32-2.51
B (0.9455, 0.2092, 0.2335)  3 O 1.36-1.41
O (0.9701, 0.3376, 0.8957)  2 B 1.37-1.47
O (0.6789, 0.3802, 0.5340)  2 B 1.36-1.51
B (0.5262, 0.2950, 0.2872)  3 O 1.37-1.40
B (0.1992, 0.0882, 0.5937)  3 O 1.37-1.40
O (0.7390, 0.4820, 0.1920)  2 B 1.38-1.40

---

The following is a DFT calculation (PBE-GGA) of a relaxed structure of MgTe2Mo2W2Se4S2.

polymorph energy (0 for the lowest one) = 33 kJ/mol of formula units
symmetry = No. 1
total moment = 0.000 μB per atom

Cell: 3.3324 3.3325 38.0960 Å, 90.00 90.00 120.00°
With the nearest neighbours (Å) after each atom.
Positions (direct):
Mo (0.6667, 0.3334, 0.6576)  6 Te 2.70
Mg (0.6475, 0.2196, 0.8820)  6 Mg 3.33
W (0.6667, 0.3334, 0.2818)  6 Se 2.55
S (0.6667, 0.3333, 0.5097)  3 W 2.46
Se (0.3334, 0.6667, 0.2378)  3 W 2.55
Se (0.6666, 0.3333, 0.1377)  3 Mo 2.55
W (0.3333, 0.6666, 0.4696)  6 S 2.45-2.46
Te (0.3334, 0.6667, 0.6077)  3 Mo 2.70
Mo (0.3334, 0.6667, 0.0939)  6 Se 2.55
Se (0.6666, 0.3333, 0.0501)  3 Mo 2.55
S (0.6666, 0.3333, 0.4296)  3 W 2.45
Te (0.3334, 0.6667, 0.7074)  3 Mo 2.70
Se (0.3334, 0.6667, 0.3259)  3 W 2.55

---

The following is a DFT calculation (PBE-GGA) of a relaxed structure of Na2SO4.

polymorph energy (0 for the lowest one) = 0 kJ/mol of formula units
symmetry = No. 70

Cell: 7.9752 6.9016 5.7947 Å, 77.28 57.58 45.14°
With the nearest neighbours (Å) after each atom.
Positions (direct):
O (0.4480, 0.9165, 0.8748)  1 S 1.50
O (0.9165, 0.4480, 0.7607)  1 S 1.50
O (0.3752, 0.4893, 0.8020)  1 S 1.50
O (0.7607, 0.8748, 0.9165)  1 S 1.50
Na (0.1852, 0.8148, 0.1852)  6 O 2.37-2.56
O (0.8748, 0.7607, 0.4480)  1 S 1.50
O (0.8020, 0.3335, 0.3752)  1 S 1.50
S (0.7500, 0.7500, 0.7500)  4 O 1.50
O (0.3335, 0.8020, 0.4893)  1 S 1.50
Na (0.0648, 0.4352, 0.0648)  6 O 2.37-2.56
S (0.5000, 0.5000, 0.5000)  4 O 1.50
O (0.4893, 0.3752, 0.3335)  1 S 1.50
Na (0.4352, 0.0648, 0.4352)  6 O 2.37-2.56
Na (0.8148, 0.1852, 0.8148)  6 O 2.37-2.56

---

The following is a DFT calculation (PBE-GGA) of a relaxed structure of KLiS.

symmetry = No. 129

Cell: 4.3342 4.3342 7.0273 Å, 90.00 90.00 90.00°
With the nearest neighbours (Å) after each atom.
Positions (direct):
Li (0.5000, 0.5000, 0.0000)  4 S 2.54
K (0.5000, 0.0000, 0.6599)  4 Li 3.23, 5 S 3.25-3.32
K (0.0000, 0.5000, 0.3401)  4 Li 3.23, 5 S 3.25-3.32
Li (0.0000, 0.0000, 0.0000)  4 S 2.54
S (0.5000, 0.0000, 0.1877)  4 Li 2.54
S (0.0000, 0.5000, 0.8123)  4 Li 2.54

---

The following is a DFT calculation (PBE-GGA) of a relaxed structure of Y2In.

symmetry = No. 194

Cell: 5.4064 5.4064 6.7717 Å, 90.00 90.00 120.00°
With the nearest neighbours (Å) after each atom.
Positions (direct):
In (0.6667, 0.3333, 0.7500)  5 Y 3.12-3.39
Y (0.6667, 0.3333, 0.2500)  5 In 3.12-3.39
In (0.3333, 0.6667, 0.2500)  5 Y 3.12-3.39
Y (0.0000, 0.0000, 0.5000)  8 Y 3.39-3.55, 6 In 3.55
Y (0.0000, 0.0000, 0.0000)  8 Y 3.39-3.55, 6 In 3.55
Y (0.3333, 0.6667, 0.7500)  5 In 3.12-3.39

---

The following is a DFT calculation (PBE-GGA) of a relaxed structure of Li2TiS2O.

symmetry = No. 14
total moment = 0.000 μB per atom

Cell: 12.6279 5.5501 6.4680 Å, 65.75 90.00 90.00°
With the nearest neighbours (Å) after each atom.
Positions (direct):
Ti (0.1806, 0.3502, 0.9814)  2 O 1.86-1.87
Li (0.6376, 0.5501, 0.4028)  5 S 2.55-2.82, 1 O 2.69
Ti (0.6806, 0.1498, 0.0186)  2 O 1.86-1.87
Ti (0.8194, 0.6498, 0.0186)  2 O 1.86-1.87
O (0.8061, 0.3414, 0.9699)  2 Ti 1.86-1.87, 1 Li 2.07
S (0.0494, 0.1255, 0.2092)  1 Ti 2.23
O (0.1939, 0.6586, 0.0301)  2 Ti 1.86-1.87, 1 Li 2.07
S (0.4506, 0.6255, 0.2092)  1 Ti 2.23
O (0.3061, 0.1586, 0.0301)  2 Ti 1.86-1.87, 1 Li 2.07
S (0.9506, 0.8745, 0.7908)  1 Ti 2.23
S (0.5494, 0.3745, 0.7908)  1 Ti 2.23
S (0.3579, 0.9461, 0.6192)  1 Ti 2.23
Li (0.9424, 0.3421, 0.7916)  1 O 2.07
O (0.6939, 0.8414, 0.9699)  2 Ti 1.86-1.87, 1 Li 2.07
Li (0.1376, 0.9499, 0.5972)  5 S 2.55-2.82, 1 O 2.69
S (0.8579, 0.5539, 0.3808)  1 Ti 2.23
Li (0.0576, 0.6579, 0.2084)  1 O 2.07
Li (0.8624, 0.0501, 0.4028)  5 S 2.55-2.82, 1 O 2.69
Ti (0.3194, 0.8502, 0.9814)  2 O 1.86-1.87
Li (0.5576, 0.8421, 0.7916)  1 O 2.07
Li (0.3624, 0.4499, 0.5972)  5 S 2.55-2.82, 1 O 2.69
S (0.6421, 0.0539, 0.3808)  1 Ti 2.23
S (0.1421, 0.4461, 0.6192)  1 Ti 2.23
Li (0.4424, 0.1579, 0.2084)  1 O 2.07

---

no.,energy (eV/cell),ΔH_f (0 K) (meV per atom)
1,-812.84,-2786
2,-83.51,-520
3,-78.60,-2211
4,-21.64,-1389
5,-33.69,-387
6,-141.22,-2011